P) A plane-wave DFT calculation with GGA+U was carried out for a geometry-optimized Li2TiVO4 structure. Values from VASP.

```
&SYSTEM
  ibrav = 0, nat = 32, ntyp = 4
/
ATOMIC_SPECIES
V 50.94 V.upf
Li 6.94 Li.upf
O 16.00 O.upf
Ti 47.87 Ti.upf
CELL_PARAMETERS angstrom
3.500 1.272 4.686
0.334 -5.830 1.327
6.833 -0.726 -4.907
ATOMIC_POSITIONS crystal
V 0.250 0.250 0.750
V 0.750 0.750 0.250
V 0.750 0.250 0.250
V 0.250 0.750 0.750
Li 0.500 0.500 0.000
Li 0.000 0.000 0.500
Li 0.750 0.250 0.750
Li 0.750 0.750 0.750
Li 0.500 0.000 0.500
Li 0.250 0.250 0.250
Li 0.250 0.750 0.250
Li 0.000 0.500 0.000
O 0.750 0.270 0.500
O 0.750 0.770 0.000
O 0.501 0.000 0.235
O 0.999 0.000 0.235
O 0.750 0.730 0.500
O 0.250 0.730 0.500
O 0.001 0.500 0.735
O 0.250 0.230 0.000
O 0.250 0.270 0.500
O 0.501 0.500 0.265
O 0.001 0.000 0.765
O 0.999 0.500 0.265
O 0.499 0.000 0.765
O 0.250 0.770 0.000
O 0.750 0.230 0.000
O 0.499 0.500 0.735
Ti 0.500 0.500 0.500
Ti 0.000 0.000 0.000
Ti 0.500 0.000 0.000
Ti 0.000 0.500 0.500
```


Q) A plane-wave DFT calculation with GGA+U was carried out for a geometry-optimized Li2TiVO4 structure. Values from VASP.

Results
The symmetry is No. 121.

```
&SYSTEM
  ibrav = 0, nat = 32, ntyp = 4
/
ATOMIC_SPECIES
Li 6.94 Li.upf
Ti 47.87 Ti.upf
V 50.94 V.upf
O 16.00 O.upf
CELL_PARAMETERS angstrom
-2.923 2.923 8.570
2.923 -2.923 8.570
2.923 2.923 -8.570
ATOMIC_POSITIONS crystal
Li 0.000 0.500 0.500
Li 0.124 0.124 0.497
Li 0.249 0.249 0.000
Li 0.374 0.876 0.000
Li 0.500 0.000 0.500
Li 0.626 0.626 0.503
Li 0.751 0.751 0.000
Li 0.876 0.374 0.000
Ti 0.124 0.621 0.000
Ti 0.379 0.379 0.504
Ti 0.621 0.124 0.000
Ti 0.876 0.876 0.496
V 0.000 0.000 0.000
V 0.250 0.750 0.500
V 0.500 0.500 0.000
V 0.750 0.250 0.500
O 0.006 0.508 0.000
O 0.123 0.123 0.000
O 0.126 0.626 0.500
O 0.235 0.748 0.000
O 0.252 0.252 0.487
O 0.374 0.874 0.500
O 0.376 0.376 0.000
O 0.492 0.492 0.498
O 0.508 0.006 0.000
O 0.624 0.624 0.000
O 0.626 0.126 0.500
O 0.748 0.235 0.000
O 0.765 0.765 0.513
O 0.874 0.374 0.500
O 0.877 0.877 0.000
O 0.994 0.994 0.502
```


Stability check: which of them is most stable? P).